# 1
Material: SrLiGe2
Method: DFT, PBE
State: optimized geometry

Summary:
Energy relative to the elements in eV per atom: -0.53
Total energy in eV per atom: -3.74
Symmetry: Pnma

The structure in CIF format:
```
data_SrLiGe2
_chemical_formula_sum 'Sr4 Li4 Ge8'
_cell_length_a 7.217
_cell_length_b 4.491
_cell_length_c 11.625
_cell_angle_alpha 90.00
_cell_angle_beta 90.00
_cell_angle_gamma 90.00
_symmetry_space_group_name_H-M 'P 1'
_symmetry_Int_Tables_number 1
_symmetry_space_group_name_Hall 'P 1'
loop_
_atom_site_label
_atom_site_type_symbol
_atom_site_fract_x
_atom_site_fract_y
_atom_site_fract_z
_atom_site_occupancy
Sr1 Sr 0.137 0.250 0.145 1
Sr2 Sr 0.363 0.750 0.645 1
Sr3 Sr 0.637 0.250 0.355 1
Sr4 Sr 0.863 0.750 0.855 1
Li1 Li 0.124 0.250 0.439 1
Li2 Li 0.376 0.750 0.939 1
Li3 Li 0.624 0.250 0.061 1
Li4 Li 0.876 0.750 0.561 1
Ge1 Ge 0.036 0.250 0.661 1
Ge2 Ge 0.191 0.250 0.857 1
Ge3 Ge 0.309 0.750 0.357 1
Ge4 Ge 0.464 0.750 0.161 1
Ge5 Ge 0.536 0.250 0.839 1
Ge6 Ge 0.691 0.250 0.643 1
Ge7 Ge 0.809 0.750 0.143 1
Ge8 Ge 0.964 0.750 0.339 1
```

# 2
Material: ZrS3
Method: DFT, PBE
State: optimized geometry

Summary:
Energy relative to the elements in eV per atom: -1.58
Total energy in eV per atom: -6.44
Symmetry: P2_1/m

The structure in CIF format:
```
data_ZrS3
_chemical_formula_sum 'Zr2 S6'
_cell_length_a 5.202
_cell_length_b 3.659
_cell_length_c 9.751
_cell_angle_alpha 90.00
_cell_angle_beta 96.73
_cell_angle_gamma 90.00
_symmetry_space_group_name_H-M 'P 1'
_symmetry_Int_Tables_number 1
_symmetry_space_group_name_Hall 'P 1'
loop_
_atom_site_label
_atom_site_type_symbol
_atom_site_fract_x
_atom_site_fract_y
_atom_site_fract_z
_atom_site_occupancy
Zr1 Zr 0.218 0.250 0.357 1
Zr2 Zr 0.782 0.750 0.643 1
S1 S 0.016 0.250 0.807 1
S2 S 0.261 0.750 0.551 1
S3 S 0.383 0.750 0.194 1
S4 S 0.617 0.250 0.806 1
S5 S 0.739 0.250 0.449 1
S6 S 0.984 0.750 0.193 1
```

# 3
Material: Ce3S2O3
Method: DFT, PBE
State: optimized geometry

Summary:
Energy relative to the elements in eV per atom: -3.33
Total energy in eV per atom: -8.06
Symmetry: Pnma

The structure in CIF format:
```
data_Ce3S2O3
_chemical_formula_sum 'Ce12 S8 O12'
_cell_length_a 6.842
_cell_length_b 3.966
_cell_length_c 21.524
_cell_angle_alpha 90.00
_cell_angle_beta 90.00
_cell_angle_gamma 90.00
_symmetry_space_group_name_H-M 'P 1'
_symmetry_Int_Tables_number 1
_symmetry_space_group_name_Hall 'P 1'
loop_
_atom_site_label
_atom_site_type_symbol
_atom_site_fract_x
_atom_site_fract_y
_atom_site_fract_z
_atom_site_occupancy
Ce1 Ce 0.210 0.250 0.188 1
Ce2 Ce 0.214 0.250 0.867 1
Ce3 Ce 0.223 0.750 0.026 1
Ce4 Ce 0.277 0.250 0.526 1
Ce5 Ce 0.286 0.750 0.367 1
Ce6 Ce 0.290 0.750 0.688 1
Ce7 Ce 0.710 0.250 0.312 1
Ce8 Ce 0.714 0.250 0.633 1
Ce9 Ce 0.723 0.750 0.474 1
Ce10 Ce 0.777 0.250 0.974 1
Ce11 Ce 0.786 0.750 0.133 1
Ce12 Ce 0.790 0.750 0.812 1
S1 S 0.005 0.750 0.271 1
S2 S 0.005 0.750 0.578 1
S3 S 0.495 0.250 0.078 1
S4 S 0.495 0.250 0.771 1
S5 S 0.505 0.750 0.229 1
S6 S 0.505 0.750 0.922 1
S7 S 0.995 0.250 0.422 1
S8 S 0.995 0.250 0.729 1
O1 O 0.117 0.750 0.835 1
O2 O 0.128 0.250 0.975 1
O3 O 0.141 0.750 0.128 1
O4 O 0.359 0.250 0.628 1
O5 O 0.372 0.750 0.475 1
O6 O 0.383 0.250 0.335 1
O7 O 0.617 0.750 0.665 1
O8 O 0.628 0.250 0.525 1
O9 O 0.641 0.750 0.372 1
O10 O 0.859 0.250 0.872 1
O11 O 0.872 0.750 0.025 1
O12 O 0.883 0.250 0.165 1
```

# 4
Material: Bi
Method: DFT, PBE
State: optimized geometry

Summary:
Energy relative to the elements in eV per atom: 0.06
Total energy in eV per atom: -3.83
Symmetry: P2_1/m

The structure in CIF format:
```
data_Bi
_chemical_formula_sum 'Bi4'
_cell_length_a 4.732
_cell_length_b 4.611
_cell_length_c 6.501
_cell_angle_alpha 90.00
_cell_angle_beta 90.87
_cell_angle_gamma 90.00
_symmetry_space_group_name_H-M 'P 1'
_symmetry_Int_Tables_number 1
_symmetry_space_group_name_Hall 'P 1'
loop_
_atom_site_label
_atom_site_type_symbol
_atom_site_fract_x
_atom_site_fract_y
_atom_site_fract_z
_atom_site_occupancy
Bi1 Bi 0.160 0.250 0.259 1
Bi2 Bi 0.284 0.250 0.762 1
Bi3 Bi 0.716 0.750 0.238 1
Bi4 Bi 0.840 0.750 0.741 1
```